# PBE with a Hubbard U MgV2O6, optimized geometry
data_MgV2O6
_space_group_name_H-M_alt 'A m m 2'
_space_group_IT_number 38
_space_group_name_Hall 'A 2 -2'
_cell_length_a 5.645
_cell_length_b 5.195
_cell_length_c 9.655
_cell_angle_alpha 90.00
_cell_angle_beta 90.00
_cell_angle_gamma 90.00
loop_
_atom_site_label
_atom_site_type_symbol
_atom_site_fract_x
_atom_site_fract_y
_atom_site_fract_z
_atom_site_occupancy
Mg1 Mg 0.000 0.000 0.000 1
V1 V 0.500 0.000 0.123 1
V2 V 0.500 0.000 0.494 1
O1 O 0.000 0.000 0.799 1
O2 O 0.286 0.238 0.059 1
O3 O 0.500 0.000 0.310 1
# E (MP2020) in eV/atom: -7.4880
# Formation energy in eV/atom: -1.99
# VASP energy in eV per atom: -6.652
# Magnetization in Bohr magnetons per cell: 0.3



# PBE with a Hubbard U Mg2V3O8, optimized geometry
data_Mg2V3O8
_space_group_name_H-M_alt 'P 1'
_space_group_IT_number 1
_space_group_name_Hall 'P 1'
_cell_length_a 5.914
_cell_length_b 5.918
_cell_length_c 9.517
_cell_angle_alpha 90.03
_cell_angle_beta 90.05
_cell_angle_gamma 119.97
loop_
_atom_site_label
_atom_site_type_symbol
_atom_site_fract_x
_atom_site_fract_y
_atom_site_fract_z
_atom_site_occupancy
Mg1 Mg 0.000 0.000 0.000 1
Mg2 Mg 0.000 0.000 0.399 1
Mg3 Mg 0.333 0.667 0.501 1
Mg4 Mg 0.334 0.668 0.900 1
V1 V 0.341 0.170 0.677 1
V2 V 0.502 0.495 0.177 1
V3 V 0.505 0.007 0.178 1
V4 V 0.830 0.661 0.678 1
V5 V 0.831 0.172 0.677 1
V6 V 0.993 0.498 0.177 1
O1 O 0.001 0.001 0.790 1
O2 O 0.136 0.841 0.557 1
O3 O 0.161 0.296 0.556 1
O4 O 0.173 0.371 0.057 1
O5 O 0.197 0.827 0.057 1
O6 O 0.334 0.667 0.290 1
O7 O 0.340 0.184 0.275 1
O8 O 0.491 0.010 0.777 1
O9 O 0.519 0.514 0.775 1
O10 O 0.630 0.803 0.057 1
O11 O 0.666 0.333 0.068 1
O12 O 0.667 0.335 0.569 1
O13 O 0.704 0.866 0.557 1
O14 O 0.817 0.156 0.275 1
O15 O 0.844 0.660 0.275 1
O16 O 0.995 0.484 0.775 1
# E (MP2020) in eV/atom: -8.0631
# Formation energy in eV/atom: -2.68
# VASP energy in eV per atom: -7.248
# Magnetization in Bohr magnetons per cell: 6.0



# PBE with a Hubbard U MgVO2, optimized geometry
data_MgVO2
_space_group_name_H-M_alt 'C 1 2/m 1'
_space_group_IT_number 12
_space_group_name_Hall '-C 2y'
_cell_length_a 15.780
_cell_length_b 2.915
_cell_length_c 11.190
_cell_angle_alpha 90.00
_cell_angle_beta 131.68
_cell_angle_gamma 90.00
loop_
_atom_site_label
_atom_site_type_symbol
_atom_site_fract_x
_atom_site_fract_y
_atom_site_fract_z
_atom_site_occupancy
Mg1 Mg 0.085 0.000 0.422 1
Mg2 Mg 0.159 0.500 0.744 1
V1 V 0.068 0.500 0.907 1
V2 V 0.158 0.000 0.234 1
O1 O 0.079 0.000 0.773 1
O2 O 0.107 0.500 0.312 1
O3 O 0.175 0.000 0.071 1
O4 O 0.208 0.000 0.657 1
# E (MP2020) in eV/atom: -7.3368
# Formation energy in eV/atom: -2.19
# VASP energy in eV per atom: -6.568
# Magnetization in Bohr magnetons per cell: 17.8



# PBE with a Hubbard U MgV5O12, optimized geometry
data_MgV5O12
_space_group_name_H-M_alt 'C 1 2 1'
_space_group_IT_number 5
_space_group_name_Hall 'C 2y'
_cell_length_a 10.674
_cell_length_b 8.710
_cell_length_c 5.916
_cell_angle_alpha 90.00
_cell_angle_beta 112.09
_cell_angle_gamma 90.00
loop_
_atom_site_label
_atom_site_type_symbol
_atom_site_fract_x
_atom_site_fract_y
_atom_site_fract_z
_atom_site_occupancy
Mg1 Mg 0.000 0.000 0.000 1
V1 V 0.000 0.192 0.500 1
V2 V 0.205 0.856 0.465 1
V3 V 0.210 0.667 0.979 1
O1 O 0.115 0.143 0.884 1
O2 O 0.127 0.361 0.459 1
O3 O 0.128 0.034 0.422 1
O4 O 0.134 0.795 0.146 1
O5 O 0.145 0.497 0.960 1
O6 O 0.157 0.743 0.672 1
# E (MP2020) in eV/atom: -8.2798
# Formation energy in eV/atom: -2.37
# VASP energy in eV per atom: -7.350
# Magnetization in Bohr magnetons per cell: 6.0



# PBE with a Hubbard U Mg2V3O8, optimized geometry
data_Mg2V3O8
_space_group_name_H-M_alt 'P 1'
_space_group_IT_number 1
_space_group_name_Hall 'P 1'
_cell_length_a 4.924
_cell_length_b 5.949
_cell_length_c 9.862
_cell_angle_alpha 89.92
_cell_angle_beta 83.30
_cell_angle_gamma 89.98
loop_
_atom_site_label
_atom_site_type_symbol
_atom_site_fract_x
_atom_site_fract_y
_atom_site_fract_z
_atom_site_occupancy
Mg1 Mg 0.000 0.000 0.000 1
Mg2 Mg 0.131 0.001 0.552 1
Mg3 Mg 0.491 0.496 0.500 1
Mg4 Mg 0.641 0.496 0.051 1
V1 V 0.064 0.755 0.276 1
V2 V 0.065 0.500 0.776 1
V3 V 0.067 0.281 0.275 1
V4 V 0.565 0.766 0.776 1
V5 V 0.566 0.232 0.776 1
V6 V 0.566 0.998 0.276 1
O1 O 0.238 0.005 0.168 1
O2 O 0.256 0.485 0.171 1
O3 O 0.288 0.725 0.659 1
O4 O 0.289 0.274 0.659 1
O5 O 0.344 0.225 0.390 1
O6 O 0.349 0.759 0.389 1
O7 O 0.359 0.499 0.883 1
O8 O 0.379 0.999 0.880 1
O9 O 0.752 0.000 0.671 1
O10 O 0.772 0.499 0.669 1
O11 O 0.783 0.759 0.162 1
O12 O 0.786 0.225 0.162 1
O13 O 0.842 0.274 0.893 1
O14 O 0.843 0.725 0.893 1
O15 O 0.875 0.484 0.381 1
O16 O 0.892 0.004 0.385 1
# E (MP2020) in eV/atom: -8.0221
# Formation energy in eV/atom: -2.63
# VASP energy in eV per atom: -7.207
# Magnetization in Bohr magnetons per cell: 6.0



# PBE with a Hubbard U MgV8O24, optimized geometry
data_MgV8O24
_space_group_name_H-M_alt 'P 1 21/c 1'
_space_group_IT_number 14
_space_group_name_Hall '-P 2ybc'
_cell_length_a 11.177
_cell_length_b 8.069
_cell_length_c 10.738
_cell_angle_alpha 90.00
_cell_angle_beta 91.16
_cell_angle_gamma 90.00
loop_
_atom_site_label
_atom_site_type_symbol
_atom_site_fract_x
_atom_site_fract_y
_atom_site_fract_z
_atom_site_occupancy
Mg1 Mg 0.000 0.000 0.000 1
V1 V 0.335 0.031 0.025 1
V2 V 0.356 0.159 0.312 1
V3 V 0.359 0.041 0.585 1
V4 V 0.359 0.722 0.799 1
O1 O 0.008 0.011 0.810 1
O2 O 0.010 0.746 0.000 1
O3 O 0.189 0.018 0.011 1
O4 O 0.214 0.182 0.297 1
O5 O 0.216 0.736 0.794 1
O6 O 0.217 0.039 0.596 1
O7 O 0.376 0.520 0.686 1
O8 O 0.378 0.240 0.975 1
O9 O 0.391 0.540 0.919 1
O10 O 0.396 0.615 0.425 1
O11 O 0.409 0.641 0.171 1
O12 O 0.418 0.189 0.709 1
# E (MP2020) in eV/atom: -7.7074
# Formation energy in eV/atom: -1.86
# VASP energy in eV per atom: -6.796
# Magnetization in Bohr magnetons per cell: 14.2